This record from Materials Project describes CeSe2 after structural relaxation. The functional is PBE.

Summary:
Magnetization ... 0.0 μB/f.u.
Space-group type ... I4/mcm
Formation energy ... -1394 meV per atom

Lattice parameters (Å, degrees): 15.251 18.472 18.472 80.19 65.62 65.62
Fractional coordinates of all 48 atoms:
Ce  0.574  0.342  0.861
Ce  0.776  0.658  0.139
Ce  0.276  0.139  0.658
Ce  0.074  0.861  0.342
Ce  0.915  0.861  0.658
Ce  0.435  0.139  0.342
Ce  0.415  0.658  0.861
Ce  0.935  0.342  0.139
Ce  0.426  0.658  0.139
Ce  0.224  0.342  0.861
Ce  0.724  0.861  0.342
Ce  0.926  0.139  0.658
Ce  0.085  0.139  0.342
Ce  0.565  0.861  0.658
Ce  0.585  0.342  0.139
Ce  0.065  0.658  0.861
Se  0.604  0.292  0.000
Se  0.896  0.708  0.000
Se  0.396  0.000  0.708
Se  0.104  0.000  0.292
Se  0.896  0.000  0.708
Se  0.604  0.000  0.292
Se  0.396  0.708  0.000
Se  0.104  0.292  0.000
Se  0.465  0.500  0.162
Se  0.127  0.500  0.838
Se  0.627  0.838  0.500
Se  0.965  0.162  0.500
Se  0.535  0.500  0.838
Se  0.873  0.500  0.162
Se  0.373  0.162  0.500
Se  0.035  0.838  0.500
Se  0.587  0.693  0.133
Se  0.413  0.307  0.867
Se  0.913  0.867  0.307
Se  0.087  0.133  0.693
Se  0.280  0.133  0.307
Se  0.720  0.867  0.693
Se  0.780  0.307  0.133
Se  0.220  0.693  0.867
Se  0.750  0.735  0.265
Se  0.750  0.265  0.735
Se  0.250  0.735  0.265
Se  0.250  0.265  0.735
Se  0.485  0.265  0.265
Se  0.015  0.735  0.735
Se  0.985  0.265  0.265
Se  0.515  0.735  0.735

=====

This record from Materials Project describes Zr4FeSe8 after structural relaxation. The functional is PBE.

Summary:
Magnetization ... 2.7 μB/f.u.
Space-group type ... C2/m
Formation energy ... -1466 meV per atom

Lattice parameters (Å, degrees): 7.314 7.314 9.039 53.54 53.54 61.93
Fractional coordinates of all 13 atoms:
Zr  0.246  0.246  0.005
Zr  0.754  0.754  0.995
Zr  0.757  0.243  0.500
Zr  0.243  0.757  0.500
Fe  0.000  0.000  0.000
Se  0.287  0.287  0.667
Se  0.787  0.787  0.667
Se  0.284  0.786  0.166
Se  0.786  0.284  0.166
Se  0.214  0.716  0.834
Se  0.716  0.214  0.834
Se  0.213  0.213  0.333
Se  0.713  0.713  0.333

=====

This record from Materials Project describes AgTe3 after structural relaxation. The functional is PBE.

Summary:
Space-group type ... Im-3m
Formation energy ... -316 meV per atom

Lattice parameters (Å, degrees): 5.323 5.323 5.323 109.47 109.47 109.47
Fractional coordinates of all 4 atoms:
Ag  0.000  0.000  0.000
Te  0.500  0.500  0.000
Te  0.500  0.000  0.500
Te  0.000  0.500  0.500

=====

This record from Materials Project describes Cs2As2Pd after structural relaxation. The functional is PBE.

Summary:
Space-group type ... Cmcm
Formation energy ... -513 meV per atom

Lattice parameters (Å, degrees): 8.463 8.463 6.479 90.00 90.00 129.72
Fractional coordinates of all 10 atoms:
Cs  0.792  0.208  0.250
Cs  0.208  0.792  0.750
Cs  0.416  0.584  0.250
Cs  0.584  0.416  0.750
As  0.069  0.269  0.750
As  0.931  0.731  0.250
As  0.269  0.069  0.250
As  0.731  0.931  0.750
Pd  0.000  0.000  0.000
Pd  0.000  0.000  0.500

=====

This record from Materials Project describes Co2SbN3 after structural relaxation. The functional is PBE.

Summary:
Magnetization ... 0.0 μB/f.u.
Space-group type ... C2/c
Formation energy ... 300 meV per atom

Lattice parameters (Å, degrees): 8.950 17.046 7.572 90.00 90.43 162.23
Fractional coordinates of all 24 atoms:
Co  0.644  0.085  0.852
Co  0.356  0.441  0.648
Co  0.356  0.915  0.148
Co  0.644  0.559  0.352
Co  0.619  0.984  0.575
Co  0.381  0.365  0.925
Co  0.381  0.016  0.425
Co  0.619  0.635  0.075
Sb  0.545  0.343  0.583
Sb  0.455  0.798  0.917
Sb  0.455  0.657  0.417
Sb  0.545  0.202  0.083
N  0.000  0.638  0.750
N  0.000  0.362  0.250
N  0.701  0.137  0.621
N  0.299  0.435  0.879
N  0.299  0.863  0.379
N  0.701  0.565  0.121
N  0.257  0.954  0.978
N  0.743  0.697  0.522
N  0.743  0.046  0.022
N  0.257  0.303  0.478
N  0.000  0.103  0.750
N  0.000  0.897  0.250

=====

This record from Materials Project describes CdCl2O4 after structural relaxation. The functional is PBE.

Summary:
Magnetization ... 0.0 μB/f.u.
Space-group type ... P2_12_12_1
Energy relative to the lowest polymorph listed for this composition ... 0 meV per atom
Formation energy ... -193 meV per atom

Lattice parameters (Å, degrees): 7.167 13.228 14.649 90.00 90.00 90.00
Fractional coordinates of all 56 atoms:
Cd  0.251  0.506  0.184
Cd  0.249  0.494  0.684
Cd  0.749  0.006  0.316
Cd  0.751  0.994  0.816
Cd  0.262  0.520  0.435
Cd  0.238  0.480  0.935
Cd  0.738  0.020  0.065
Cd  0.762  0.980  0.565
Cl  0.012  0.538  0.059
Cl  0.488  0.462  0.559
Cl  0.988  0.038  0.441
Cl  0.512  0.962  0.941
Cl  0.493  0.478  0.058
Cl  0.007  0.522  0.558
Cl  0.507  0.978  0.442
Cl  0.993  0.022  0.942
Cl  0.502  0.498  0.307
Cl  0.998  0.502  0.807
Cl  0.498  0.998  0.193
Cl  0.002  0.002  0.693
Cl  0.025  0.560  0.309
Cl  0.475  0.440  0.809
Cl  0.975  0.060  0.191
Cl  0.525  0.940  0.691
O  0.289  0.759  0.166
O  0.211  0.241  0.666
O  0.711  0.259  0.334
O  0.789  0.741  0.834
O  0.172  0.291  0.133
O  0.328  0.709  0.633
O  0.828  0.791  0.367
O  0.672  0.209  0.867
O  0.183  0.301  0.401
O  0.317  0.699  0.901
O  0.817  0.801  0.099
O  0.683  0.199  0.599
O  0.328  0.720  0.483
O  0.172  0.280  0.983
O  0.672  0.220  0.017
O  0.828  0.780  0.517
O  0.746  0.733  0.144
O  0.754  0.267  0.644
O  0.254  0.233  0.356
O  0.246  0.767  0.856
O  0.748  0.284  0.251
O  0.752  0.716  0.751
O  0.252  0.784  0.249
O  0.248  0.216  0.749
O  0.775  0.315  0.398
O  0.725  0.685  0.898
O  0.225  0.815  0.102
O  0.275  0.185  0.602
O  0.767  0.747  0.439
O  0.733  0.253  0.939
O  0.233  0.247  0.061
O  0.267  0.753  0.561

=====

This record from Materials Project describes NaNbO3 after structural relaxation. The functional is PBE.

Summary:
Magnetization ... 0.0 μB/f.u.
Space-group type ... Pmmn
Formation energy ... -2820 meV per atom

Lattice parameters (Å, degrees): 7.947 7.936 23.772 90.00 90.00 90.00
Fractional coordinates of all 120 atoms:
Na  0.250  0.251  0.419
Na  0.250  0.251  0.081
Na  0.750  0.749  0.581
Na  0.750  0.749  0.919
Na  0.250  0.751  0.417
Na  0.250  0.751  0.083
Na  0.750  0.249  0.583
Na  0.750  0.249  0.917
Na  0.250  0.231  0.250
Na  0.750  0.769  0.750
Na  0.250  0.750  0.250
Na  0.750  0.250  0.750
Na  0.250  0.253  0.915
Na  0.250  0.253  0.585
Na  0.750  0.747  0.085
Na  0.750  0.747  0.415
Na  0.250  0.746  0.918
Na  0.250  0.746  0.582
Na  0.750  0.254  0.082
Na  0.750  0.254  0.418
Na  0.250  0.241  0.750
Na  0.750  0.759  0.250
Na  0.250  0.730  0.750
Na  0.750  0.270  0.250
Nb  0.500  0.000  0.500
Nb  0.000  0.000  0.500
Nb  0.500  0.000  0.000
Nb  0.000  0.000  0.000
Nb  0.500  0.500  0.500
Nb  0.000  0.500  0.500
Nb  0.500  0.500  0.000
Nb  0.000  0.500  0.000
Nb  0.500  0.001  0.333
Nb  0.000  0.001  0.333
Nb  0.500  0.001  0.167
Nb  0.000  0.001  0.167
Nb  0.500  0.999  0.667
Nb  0.000  0.999  0.667
Nb  0.500  0.999  0.833
Nb  0.000  0.999  0.833
Nb  0.500  0.501  0.333
Nb  0.000  0.501  0.333
Nb  0.500  0.501  0.167
Nb  0.000  0.501  0.167
Nb  0.500  0.499  0.667
Nb  0.000  0.499  0.667
Nb  0.500  0.499  0.833
Nb  0.000  0.499  0.833
O  0.466  0.250  0.510
O  0.034  0.250  0.510
O  0.466  0.250  0.990
O  0.034  0.250  0.990
O  0.534  0.750  0.490
O  0.966  0.750  0.490
O  0.534  0.750  0.010
O  0.966  0.750  0.010
O  0.520  0.251  0.322
O  0.980  0.251  0.322
O  0.520  0.251  0.178
O  0.980  0.251  0.178
O  0.480  0.749  0.678
O  0.020  0.749  0.678
O  0.480  0.749  0.822
O  0.020  0.749  0.822
O  0.480  0.751  0.345
O  0.020  0.751  0.345
O  0.480  0.751  0.155
O  0.020  0.751  0.155
O  0.520  0.249  0.655
O  0.980  0.249  0.655
O  0.520  0.249  0.845
O  0.980  0.249  0.845
O  0.529  0.033  0.417
O  0.971  0.033  0.417
O  0.529  0.033  0.083
O  0.971  0.033  0.083
O  0.471  0.967  0.583
O  0.029  0.967  0.583
O  0.471  0.967  0.917
O  0.029  0.967  0.917
O  0.471  0.470  0.417
O  0.029  0.470  0.417
O  0.471  0.470  0.083
O  0.029  0.470  0.083
O  0.529  0.530  0.583
O  0.971  0.530  0.583
O  0.529  0.530  0.917
O  0.971  0.530  0.917
O  0.468  0.971  0.250
O  0.032  0.971  0.250
O  0.532  0.029  0.750
O  0.968  0.029  0.750
O  0.531  0.537  0.250
O  0.969  0.537  0.250
O  0.469  0.463  0.750
O  0.031  0.463  0.750
O  0.250  0.970  0.489
O  0.250  0.970  0.011
O  0.750  0.030  0.511
O  0.750  0.030  0.989
O  0.250  0.536  0.508
O  0.250  0.536  0.992
O  0.750  0.464  0.492
O  0.750  0.464  0.008
O  0.250  0.024  0.342
O  0.250  0.024  0.158
O  0.750  0.976  0.658
O  0.750  0.976  0.842
O  0.250  0.484  0.323
O  0.250  0.484  0.177
O  0.750  0.516  0.677
O  0.750  0.516  0.823
O  0.250  0.025  0.824
O  0.250  0.025  0.676
O  0.750  0.975  0.176
O  0.750  0.975  0.324
O  0.250  0.486  0.844
O  0.250  0.486  0.656
O  0.750  0.514  0.156
O  0.750  0.514  0.344

=====

This record from Materials Project describes Na3In2Ag after structural relaxation. The functional is PBE.

Summary:
Space-group type ... Fd-3m
Formation energy ... -144 meV per atom

Lattice parameters (Å, degrees): 9.778 9.778 9.778 60.00 60.00 60.00
Fractional coordinates of all 24 atoms:
Na  0.047  0.453  0.047
Na  0.797  0.203  0.203
Na  0.203  0.797  0.797
Na  0.797  0.203  0.797
Na  0.203  0.203  0.797
Na  0.797  0.797  0.203
Na  0.047  0.047  0.453
Na  0.453  0.047  0.047
Na  0.047  0.453  0.453
Na  0.453  0.453  0.047
Na  0.203  0.797  0.203
Na  0.453  0.047  0.453
In  0.833  0.833  0.833
In  0.748  0.417  0.417
In  0.417  0.748  0.417
In  0.417  0.417  0.748
In  0.833  0.502  0.833
In  0.833  0.833  0.502
In  0.502  0.833  0.833
In  0.417  0.417  0.417
Ag  0.625  0.625  0.625
Ag  0.125  0.625  0.625
Ag  0.625  0.125  0.625
Ag  0.625  0.625  0.125

=====

This record from Materials Project describes NaCdO3 after structural relaxation. The functional is PBE.

Summary:
Magnetization ... 2.1 μB/f.u.
Space-group type ... Pm-3m
Formation energy ... -619 meV per atom

Lattice parameters (Å, degrees): 4.257 4.257 4.257 90.00 90.00 90.00
Fractional coordinates of all 5 atoms:
Na  0.500  0.500  0.500
Cd  0.000  0.000  0.000
O  0.000  0.000  0.500
O  0.000  0.500  0.000
O  0.500  0.000  0.000

=====

This record from Materials Project describes PrAlH6 after structural relaxation. The functional is PBE.

Summary:
Space-group type ... R-3m
Formation energy ... -412 meV per atom

Lattice parameters (Å, degrees): 4.278 4.278 4.278 98.44 98.44 98.44
Fractional coordinates of all 8 atoms:
Pr  0.500  0.500  0.500
Al  0.000  0.000  0.000
H  0.061  0.704  0.704
H  0.704  0.704  0.061
H  0.704  0.061  0.704
H  0.939  0.296  0.296
H  0.296  0.296  0.939
H  0.296  0.939  0.296

=====

This record from Materials Project describes K2TeH6SO10 after structural relaxation. The functional is PBE.

Summary:
Magnetization ... 0.0 μB/f.u.
Space-group type ... P-1
Formation energy ... -1656 meV per atom

Lattice parameters (Å, degrees): 6.363 6.699 13.412 102.31 90.51 117.12
Fractional coordinates of all 40 atoms:
K  0.577  0.227  0.349
K  0.423  0.773  0.651
K  0.196  0.261  0.850
K  0.804  0.739  0.150
Te  0.000  0.000  0.500
Te  0.500  0.000  0.000
H  0.136  0.706  0.429
H  0.864  0.294  0.571
H  0.288  0.154  0.123
H  0.712  0.846  0.877
H  0.286  0.647  0.067
H  0.714  0.353  0.933
H  0.386  0.256  0.607
H  0.614  0.744  0.393
H  0.073  0.190  0.356
H  0.927  0.810  0.644
H  0.847  0.263  0.134
H  0.153  0.737  0.866
S  0.252  0.531  0.251
S  0.748  0.469  0.749
O  0.176  0.825  0.495
O  0.824  0.175  0.505
O  0.062  0.039  0.360
O  0.938  0.961  0.640
O  0.291  0.287  0.558
O  0.709  0.713  0.442
O  0.361  0.376  0.218
O  0.639  0.624  0.782
O  0.553  0.232  0.704
O  0.447  0.768  0.296
O  0.089  0.449  0.330
O  0.911  0.551  0.670
O  0.699  0.116  0.133
O  0.301  0.884  0.867
O  0.235  0.004  0.070
O  0.765  0.996  0.930
O  0.392  0.682  0.012
O  0.608  0.318  0.988
O  0.110  0.530  0.161
O  0.890  0.470  0.839

=====

Sequential DFT total energy output: -5.388; -6.609; -3.065; -3.770; -6.745; -3.681; -7.662; -2.195; -3.625; -3.888; -5.279 eV/atom